# 1
# GGA-PBE Sr2CuO2F2, relaxed
# Theoretical density, g/cm³: 4.93
# Formation enthalpy at 0 K, eV/atom: -2.97
# Energy above the most stable polymorph in this dataset, meV/atom: 0
data_Sr2CuO2F2
_cell_length_a 4.006
_cell_length_b 4.006
_cell_length_c 12.958
_cell_angle_alpha 90.00
_cell_angle_beta 90.00
_cell_angle_gamma 90.00
_space_group_name_H-M_alt 'I 4/m m m'
_space_group_IT_number 139
_space_group_name_Hall '-I 4 2'
loop_
_atom_site_label
_atom_site_type_symbol
_atom_site_fract_x
_atom_site_fract_y
_atom_site_fract_z
Sr1 Sr 0.000 0.000 0.135
Cu1 Cu 0.000 0.000 0.500
O1 O 0.000 0.500 0.000
F1 F 0.000 0.500 0.250



# 2
# GGA-PBE Lu2Mn12P7, relaxed
# Theoretical density, g/cm³: 7.72
# Formation enthalpy at 0 K, eV/atom: -0.72
data_Lu2Mn12P7
_cell_length_a 9.2261
_cell_length_b 9.2261
_cell_length_c 3.5780
_cell_angle_alpha 90.00
_cell_angle_beta 90.00
_cell_angle_gamma 120.00
_space_group_name_H-M_alt 'P -6'
_space_group_IT_number 174
loop_
_space_group_symop_operation_xyz
'x,y,z'
'-x+y,-x,-z'
'-y,x-y,z'
'x,y,-z'
'-x+y,-x,z'
'-y,x-y,-z'
loop_
_atom_site_label
_atom_site_type_symbol
_atom_site_fract_x
_atom_site_fract_y
_atom_site_fract_z
Lu1 Lu 0.0000 0.0000 0.0000
Lu2 Lu 0.3333 0.6667 0.5000
Mn1 Mn 0.0586 0.7697 0.5000
Mn2 Mn 0.0945 0.3816 0.0000
Mn3 Mn 0.3897 0.2139 0.0000
Mn4 Mn 0.5440 0.1116 0.5000
P1 P 0.0779 0.6208 0.0000
P2 P 0.2559 0.0506 0.5000
P3 P 0.6667 0.3333 0.0000



# 3
# GGA-PBE MoC, relaxed
# Theoretical density, g/cm³: 8.54
# Formation enthalpy at 0 K, eV/atom: -0.08
# Energy above the most stable polymorph in this dataset, meV/atom: 0
data_MoC
_cell_length_a 2.9241
_cell_length_b 2.9241
_cell_length_c 2.8351
_cell_angle_alpha 90.00
_cell_angle_beta 90.00
_cell_angle_gamma 120.00
_space_group_name_H-M_alt 'P -6 m 2'
_space_group_IT_number 187
_space_group_name_Hall 'P -6 2'
loop_
_atom_site_label
_atom_site_type_symbol
_atom_site_fract_x
_atom_site_fract_y
_atom_site_fract_z
Mo1 Mo 0.0000 0.0000 0.0000
C1 C 0.3333 0.6667 0.5000



# 4
# GGA-PBE Er3Ir2, relaxed
# Theoretical density, g/cm³: 13.16
# Formation enthalpy at 0 K, eV/atom: -0.85
data_Er3Ir2
_cell_length_a 11.177
_cell_length_b 11.177
_cell_length_c 25.069
_cell_angle_alpha 90.00
_cell_angle_beta 90.00
_cell_angle_gamma 90.00
_space_group_name_H-M_alt 'I 4/m c m'
_space_group_IT_number 140
_space_group_name_Hall '-I 4 2c'
loop_
_atom_site_label
_atom_site_type_symbol
_atom_site_fract_x
_atom_site_fract_y
_atom_site_fract_z
Er1 Er 0.000 0.500 0.112
Er2 Er 0.000 0.500 0.250
Er3 Er 0.075 0.204 0.072
Er4 Er 0.079 0.211 0.306
Er5 Er 0.150 0.350 0.500
Ir1 Ir 0.000 0.000 0.000
Ir2 Ir 0.000 0.000 0.134
Ir3 Ir 0.000 0.000 0.250
Ir4 Ir 0.097 0.403 0.000
Ir5 Ir 0.154 0.346 0.188
Ir6 Ir 0.179 0.321 0.394



# 5
# GGA-PBE Na3Sb3P2O14, relaxed
# Theoretical density, g/cm³: 4.27
# Formation enthalpy at 0 K, eV/atom: -2.27
data_Na3Sb3P2O14
_cell_length_a 6.392
_cell_length_b 7.326
_cell_length_c 12.583
_cell_angle_alpha 90.00
_cell_angle_beta 107.97
_cell_angle_gamma 90.00
_space_group_name_H-M_alt 'P 1 21/c 1'
_space_group_IT_number 14
loop_
_space_group_symop_operation_xyz
'x,y,z'
'-x,-y,-z'
'-x,y+1/2,-z+1/2'
'x,-y+1/2,z+1/2'
loop_
_atom_site_label
_atom_site_type_symbol
_atom_site_fract_x
_atom_site_fract_y
_atom_site_fract_z
Na1 Na 0.000 0.000 0.000
Na2 Na 0.472 0.206 0.068
Sb1 Sb 0.000 0.000 0.500
Sb2 Sb 0.029 0.241 0.257
P1 P 0.414 0.734 0.161
O1 O 0.033 0.702 0.903
O2 O 0.068 0.003 0.805
O3 O 0.119 0.189 0.421
O4 O 0.297 0.730 0.752
O5 O 0.321 0.549 0.098
O6 O 0.346 0.191 0.264
O7 O 0.392 0.610 0.581



# 6
# GGA-PBE MgFe4P4S4, relaxed
# Theoretical density, g/cm³: 4.53
# Formation enthalpy at 0 K, eV/atom: -0.50
# Energy above the most stable polymorph in this dataset, meV/atom: 0
data_MgFe4P4S4
_cell_length_a 5.567
_cell_length_b 5.874
_cell_length_c 5.956
_cell_angle_alpha 70.31
_cell_angle_beta 89.16
_cell_angle_gamma 88.51
_space_group_name_H-M_alt 'P 1'
_space_group_IT_number 1
loop_
_space_group_symop_operation_xyz
'x,y,z'
loop_
_atom_site_label
_atom_site_type_symbol
_atom_site_fract_x
_atom_site_fract_y
_atom_site_fract_z
Mg1 Mg 0.000 0.000 0.000
Fe1 Fe 0.006 0.251 0.247
Fe2 Fe 0.492 0.722 0.284
Fe3 Fe 0.506 0.285 0.709
Fe4 Fe 0.993 0.755 0.747
P1 P 0.160 0.866 0.402
P2 P 0.352 0.352 0.346
P3 P 0.646 0.654 0.647
P4 P 0.843 0.144 0.595
S1 S 0.144 0.386 0.831
S2 S 0.382 0.854 0.853
S3 S 0.616 0.152 0.140
S4 S 0.850 0.617 0.158



| no. | E_tot (eV/atom) |
| --- | --- |
| 1 | -5.67 |
| 2 | -8.19 |
| 3 | -10.12 |
| 4 | -7.13 |
| 5 | -6.22 |
| 6 | -6.01 |